Entry from the Materials Project: a relaxed structure of K3InF6 (PBE-GGA).

Output
size of the total moment: 0.00 μB/cell
formation energy from the elements: -2.96 eV/atom
MP2020-corrected energy: -4.716 eV per atom
raw total energy: -44.39 eV per cell
space-group type: Fm-3m, No. 225

a b c (Å): 6.5284 6.5284 6.5284
angles (deg): 60.00 60.00 60.00
Closest atoms and distances in Å follow each position.
Fractional positions:
K: 0.0000 0.0000 0.0000  6 F 2.52
K: 0.2500 0.2500 0.2500  12 F 3.27
K: 0.7500 0.7500 0.7500  12 F 3.27
In: 0.5000 0.5000 0.5000  6 F 2.10
F: 0.2725 0.2725 0.7275  1 In 2.10
F: 0.2725 0.7275 0.2725  1 In 2.10
F: 0.2725 0.7275 0.7275  1 In 2.10
F: 0.7275 0.2725 0.2725  1 In 2.10
F: 0.7275 0.2725 0.7275  1 In 2.10
F: 0.7275 0.7275 0.2725  1 In 2.10